{"formula": "NaPH7O6", "functional": "GGA-PBE", "state": "relaxed", "cell": [[7.045, -3.521, 0.000], [7.045, 3.521, 0.000], [-5.641, 0.000, 11.527]], "species": ["Na", "Na", "Na", "Na", "P", "P", "P", "P", "H", "H", "H", "H", "H", "H", "H", "H", "H", "H", "H", "H", "H", "H", "H", "H", "H", "H", "H", "H", "H", "H", "H", "H", "H", "H", "H", "H", "O", "O", "O", "O", "O", "O", "O", "O", "O", "O", "O", "O", "O", "O", "O", "O", "O", "O", "O", "O", "O", "O", "O", "O"], "frac_coords": [[0.120, 0.353, 0.236], [0.353, 0.120, 0.736], [0.647, 0.880, 0.264], [0.880, 0.647, 0.764], [0.357, 0.640, 0.662], [0.360, 0.643, 0.838], [0.640, 0.357, 0.162], [0.643, 0.360, 0.338], [0.024, 0.958, 0.114], [0.041, 0.313, 0.896], [0.042, 0.976, 0.386], [0.054, 0.613, 0.453], [0.105, 0.774, 0.003], [0.148, 0.410, 0.599], [0.225, 0.367, 0.948], [0.226, 0.895, 0.497], [0.310, 0.638, 0.358], [0.313, 0.041, 0.396], [0.362, 0.690, 0.142], [0.367, 0.225, 0.448], [0.387, 0.946, 0.047], [0.410, 0.148, 0.099], [0.590, 0.852, 0.901], [0.613, 0.054, 0.953], [0.633, 0.775, 0.552], [0.638, 0.310, 0.858], [0.687, 0.959, 0.604], [0.690, 0.362, 0.642], [0.774, 0.105, 0.503], [0.775, 0.633, 0.052], [0.852, 0.590, 0.401], [0.895, 0.226, 0.997], [0.946, 0.387, 0.547], [0.958, 0.024, 0.614], [0.959, 0.687, 0.104], [0.976, 0.042, 0.886], [0.068, 0.365, 0.615], [0.113, 0.364, 0.878], [0.115, 0.796, 0.086], [0.129, 0.762, 0.854], [0.204, 0.885, 0.414], [0.238, 0.871, 0.646], [0.274, 0.497, 0.569], [0.364, 0.113, 0.378], [0.365, 0.068, 0.115], [0.389, 0.471, 0.328], [0.471, 0.389, 0.828], [0.497, 0.274, 0.069], [0.503, 0.726, 0.931], [0.529, 0.611, 0.172], [0.611, 0.529, 0.672], [0.635, 0.932, 0.885], [0.636, 0.887, 0.622], [0.726, 0.503, 0.431], [0.762, 0.129, 0.354], [0.796, 0.115, 0.586], [0.871, 0.238, 0.146], [0.885, 0.204, 0.914], [0.887, 0.636, 0.122], [0.932, 0.635, 0.385]], "e_form_ev_per_atom": -1.632, "corrected_energy_ev_per_atom": -5.6432, "spacegroup": "C2/c"}